Entry 1:
Entry from the Materials Project database: an optimized crystal structure of Zr2SiSe2 (PBE).

Cell lengths 2.9700, 2.9700, 14.0624 Å; angles 90.00, 90.00, 90.00 degrees
Closest atoms and distances in Å follow each position.
Sites, in units of the cell vectors:
Si 0.5000 0.5000 0.0000  2 Zr 2.73, 4 Si 2.97
Zr 0.5000 0.5000 0.8062  1 Se 2.58, 1 Si 2.73
Zr 0.5000 0.5000 0.1938  1 Se 2.58, 1 Si 2.73
Se 0.5000 0.5000 0.6227  1 Zr 2.58
Se 0.5000 0.5000 0.3773  1 Zr 2.58

Output
* SG: P4/mmm
* formation enthalpy at 0 K: 95 meV per atom
* E_tot: -28.09 eV for the cell shown

---

Entry 2:
Entry from the Materials Project database: an optimized crystal structure of PtCN2 (PBE).

Cell lengths 3.1455, 4.4181, 5.1030 Å; angles 90.00, 90.00, 110.85 degrees
Closest atoms and distances in Å follow each position.
Sites, in units of the cell vectors:
Pt 0.0000 0.0000 0.0000  4 N 2.05
C 0.5000 0.0000 0.5000  2 N 1.23
N 0.5000 0.0000 0.2583  1 C 1.23
N 0.5000 0.0000 0.7417  1 C 1.23

Output
* SG: Cmmm
* formation enthalpy at 0 K: 336 meV per atom
* E_tot: -29.91 eV for the cell shown

---

Entry 3:
Entry from the Materials Project database: an optimized crystal structure of SrAg2I4O8 (PBE).

Cell lengths 7.5746, 7.5746, 7.5746 Å; angles 118.71, 118.71, 92.24 degrees
Closest atoms and distances in Å follow each position.
Sites, in units of the cell vectors:
O 0.1129 0.4225 0.2354  1 I 2.01
O 0.1871 0.8775 0.7646  1 I 2.01
I 0.5075 0.0075 0.0150  2 O 2.01
O 0.4225 0.1871 0.3096  1 I 2.01
Ag 0.5000 0.0000 0.5000  4 O 2.38
O 0.8129 0.5775 0.6904  1 I 2.01
I 0.4925 0.5075 0.5000  2 O 2.01
O 0.1225 0.8129 0.2354  1 I 2.01
O 0.5775 0.8871 0.7646  1 I 2.01
Ag 0.0000 0.5000 0.5000  4 O 2.38
Sr 0.0000 0.0000 0.0000  8 O 2.64
O 0.8871 0.1225 0.3096  1 I 2.01
O 0.8775 0.1129 0.6904  1 I 2.01
I 0.0075 0.9925 0.5000  2 O 2.01
I 0.9925 0.4925 0.9850  2 O 2.01

Output
* SG: I422
* formation enthalpy at 0 K: -953 meV per atom
* energy relative to the lowest polymorph listed for this composition: 0 meV/atom
* E_tot: -61.83 eV for the cell shown

---

Entry 4:
Entry from the Materials Project database: an optimized crystal structure of La2B5H9C4O15 (PBE).

Cell lengths 6.5384, 10.8979, 11.5457 Å; angles 61.84, 89.87, 89.73 degrees
Closest atoms and distances in Å follow each position.
Sites, in units of the cell vectors:
O 0.0198 0.7657 0.4663  2 B 1.38-1.49
O 0.5200 0.0404 0.7549  2 B 1.40-1.50
B 0.2140 0.8009 0.1923  3 O 1.35-1.40
H 0.2064 0.4082 0.8568  1 C 1.09
O 0.3242 0.7592 0.7808  1 C 1.28
H 0.9588 0.1298 0.1192  1 O 0.99
O 0.8544 0.9579 0.7370  2 B 1.40-1.50
O 0.0946 0.1550 0.1387  2 H 0.98-0.99
O 0.7574 0.6605 0.3922  2 B 1.47-1.50
B 0.8228 0.9951 0.5958  4 O 1.47-1.50
O 0.9148 0.1330 0.5122  2 B 1.45-1.48
H 0.4588 0.2490 0.8808  1 O 0.99
O 0.5010 0.9518 0.3085  1 C 1.28
O 0.9586 0.7115 0.0388  1 C 1.28
B 0.3702 0.3303 0.4660  3 O 1.36-1.38
H 0.7553 0.6295 0.8858  1 C 1.10
C 0.4534 0.7071 0.8756  2 O 1.28
C 0.6079 0.0522 0.2240  2 O 1.28
B 0.1329 0.1421 0.4880  4 O 1.45-1.51
O 0.3544 0.6949 0.2630  2 B 1.40-1.50
H 0.5743 0.5020 0.9848  1 C 1.10
C 0.6140 0.1898 0.2250  3 H 1.09-1.10
C 0.5977 0.5937 0.8887  3 H 1.09-1.10
O 0.1816 0.2941 0.4405  2 B 1.37-1.51
O 0.7790 0.9793 0.9243  1 B 1.35
O 0.1021 0.5686 0.4294  2 B 1.47
H 0.4574 0.2289 0.2179  1 C 1.10
H 0.1763 0.4935 0.6806  1 C 1.10
B 0.6329 0.6301 0.5120  4 O 1.45-1.51
O 0.4327 0.4637 0.4240  2 B 1.36-1.48
O 0.6816 0.7346 0.5595  2 B 1.37-1.51
O 0.6021 0.9980 0.5706  2 B 1.47
O 0.0010 0.2603 0.6915  1 C 1.28
O 0.8242 0.5400 0.2192  1 C 1.28
B 0.4761 0.0804 0.6143  4 O 1.47-1.50
H 0.1326 0.1268 0.3056  1 O 0.99
O 0.1997 0.0965 0.3919  1 H 0.99
C 0.1140 0.4148 0.7750  3 H 1.09-1.10
O 0.4586 0.7502 0.9612  1 C 1.28
H 0.9574 0.4469 0.7821  1 C 1.10
O 0.5198 0.2320 0.5337  2 B 1.38-1.49
H 0.7064 0.2649 0.1432  1 C 1.09
B 0.3228 0.5909 0.4042  4 O 1.47-1.50
B 0.7140 0.9932 0.8077  3 O 1.35-1.40
H 0.2553 0.5152 0.1142  1 C 1.10
O 0.5946 0.2937 0.8613  2 H 0.98-0.99
O 0.2790 0.9036 0.0757  1 B 1.35
O 0.4148 0.6452 0.4878  2 B 1.45-1.48
O 0.2574 0.0527 0.6078  2 B 1.47-1.50
C 0.1079 0.2762 0.7760  2 O 1.28
O 0.6997 0.4884 0.6081  1 H 0.99
C 0.9534 0.5827 0.1244  2 O 1.28
La 0.6682 0.8096 0.1356  4 O 2.38-2.60
O 0.0200 0.7953 0.2451  2 B 1.40-1.50
La 0.1682 0.9452 0.8644  4 O 2.38-2.60
H 0.6874 0.2148 0.8846  1 O 0.98
La 0.8383 0.3865 0.4751  8 O 2.45-2.72
B 0.9761 0.6947 0.3857  4 O 1.47-1.50
B 0.8702 0.7964 0.5340  3 O 1.36-1.38
H 0.6326 0.4324 0.6944  1 O 0.99
C 0.0977 0.4824 0.1113  3 H 1.09-1.10
La 0.3383 0.8616 0.5249  8 O 2.45-2.72
H 0.1874 0.0994 0.1154  1 O 0.98
H 0.0760 0.3757 0.1886  1 C 1.09
O 0.9327 0.8877 0.5760  2 B 1.36-1.48
O 0.7112 0.0380 0.1370  1 C 1.28
H 0.6763 0.1741 0.3194  1 C 1.10
H 0.0743 0.4868 0.0152  1 C 1.10
O 0.2112 0.1751 0.8630  1 C 1.28
H 0.5760 0.5643 0.8114  1 C 1.09

Output
* SG: Cc
* formation enthalpy at 0 K: -2071 meV per atom
* E_tot: -494.26 eV for the cell shown

---

Entry 5:
Entry from the Materials Project database: an optimized crystal structure of Cs2LiSbBr6 (PBE).

Cell lengths 7.9612, 7.9612, 7.9612 Å; angles 60.00, 60.00, 60.00 degrees
Closest atoms and distances in Å follow each position.
Sites, in units of the cell vectors:
Sb 0.0000 0.0000 0.0000  6 Br 2.83
Br 0.2511 0.7489 0.2511  1 Li 2.80, 1 Sb 2.83
Br 0.2511 0.7489 0.7489  1 Li 2.80, 1 Sb 2.83
Cs 0.7500 0.7500 0.7500  12 Br 3.98
Br 0.7489 0.2511 0.7489  1 Li 2.80, 1 Sb 2.83
Br 0.7489 0.2511 0.2511  1 Li 2.80, 1 Sb 2.83
Cs 0.2500 0.2500 0.2500  12 Br 3.98
Li 0.5000 0.5000 0.5000  6 Br 2.80
Br 0.2511 0.2511 0.7489  1 Li 2.80, 1 Sb 2.83
Br 0.7489 0.7489 0.2511  1 Li 2.80, 1 Sb 2.83

Output
* SG: Fm-3m
* formation enthalpy at 0 K: -1632 meV per atom
* E_tot: -30.77 eV for the cell shown

---

Entry 6:
Entry from the Materials Project database: an optimized crystal structure of PrH2 (PBE).

Cell lengths 3.9321, 3.9321, 3.9321 Å; angles 60.00, 60.00, 60.00 degrees
Closest atoms and distances in Å follow each position.
Sites, in units of the cell vectors:
Pr 0.0000 0.0000 0.0000  8 H 2.41
H 0.7500 0.7500 0.7500  4 Pr 2.41
H 0.2500 0.2500 0.2500  4 Pr 2.41

Output
* SG: Fm-3m
* formation enthalpy at 0 K: -725 meV per atom
* E_tot: -13.38 eV for the cell shown

---

Entry 7:
Entry from the Materials Project database: an optimized crystal structure of BaSrGdSbO6 (PBE).

Cell lengths 8.4871, 8.4931, 8.4995 Å; angles 90.00, 90.00, 90.00 degrees
Closest atoms and distances in Å follow each position.
Sites, in units of the cell vectors:
Sb 0.7529 0.7512 0.2541  6 O 2.01-2.04
O 0.2797 0.2205 0.4867  1 Sb 2.01
O 0.0139 0.2219 0.2846  1 Sb 2.01
O 0.0139 0.7781 0.7154  1 Sb 2.01
Gd 0.7516 0.2499 0.2518  6 O 2.25-2.32
O 0.2682 0.9855 0.7735  1 Sb 2.01
O 0.7821 0.7226 0.0179  1 Sb 2.04
O 0.2201 0.4839 0.2819  1 Sb 2.02
Ba 0.5000 0.5000 0.0000  8 O 2.75-3.05
O 0.7799 0.5161 0.2819  1 Sb 2.02
O 0.2179 0.2774 0.0179  1 Sb 2.04
O 0.2682 0.0145 0.2265  1 Sb 2.01
O 0.7203 0.7795 0.4867  1 Sb 2.01
O 0.2201 0.5161 0.7181  1 Sb 2.02
Sb 0.7529 0.2488 0.7459  6 O 2.01-2.04
Gd 0.2484 0.7501 0.2518  6 O 2.25-2.32
Gd 0.7516 0.7501 0.7482  6 O 2.25-2.32
Sb 0.2471 0.7512 0.7459  6 O 2.01-2.04
Ba 0.5000 0.0000 0.0000  8 O 2.76-3.03
O 0.7821 0.2774 0.9821  1 Sb 2.04
O 0.7318 0.9855 0.2265  1 Sb 2.01
O 0.5168 0.2722 0.7704  1 Sb 2.02
O 0.7799 0.4839 0.7181  1 Sb 2.02
O 0.2179 0.7226 0.9821  1 Sb 2.04
Sr 0.0000 0.5000 0.0000  4 O 2.65
O 0.7203 0.2205 0.5133  1 Sb 2.01
Gd 0.2484 0.2499 0.7482  6 O 2.25-2.32
O 0.9861 0.2219 0.7154  1 Sb 2.01
Sr 0.0000 0.0000 0.5000  4 O 2.63
O 0.4832 0.7278 0.7704  1 Sb 2.02
Ba 0.5000 0.5000 0.5000  12 O 3.01-3.02
O 0.9861 0.7781 0.2846  1 Sb 2.01
Sr 0.0000 0.5000 0.5000  4 O 2.63
O 0.4832 0.2722 0.2296  1 Sb 2.02
Sb 0.2471 0.2488 0.2541  6 O 2.01-2.04
Ba 0.0000 0.0000 0.0000  12 O 2.98-3.07
O 0.7318 0.0145 0.7735  1 Sb 2.01
Sr 0.5000 0.0000 0.5000  4 O 2.65
O 0.5168 0.7278 0.2296  1 Sb 2.02
O 0.2797 0.7795 0.5133  1 Sb 2.01

Output
* SG: P222
* formation enthalpy at 0 K: -3050 meV per atom
* E_tot: -311.51 eV for the cell shown

---

Question: Which of these has the highest formation enthalpy at 0 K?
Answer: PtCN2